# Na10Y2Nb6Si11SO48 | the Materials Project | PBE | optimized geometry
data_Na10Y2Nb6Si11SO48
_chemical_formula_sum 'Na30 Y6 Nb18 Si33 S3 O144'
_cell_length_a 9.1512
_cell_length_b 15.8598
_cell_length_c 22.8937
_cell_angle_alpha 90.19
_cell_angle_beta 90.04
_cell_angle_gamma 90.02
_symmetry_space_group_name_H-M 'P 1'
_symmetry_Int_Tables_number 1
loop_
_symmetry_equiv_pos_as_xyz
'x,y,z'
loop_
_atom_site_label
_atom_site_fract_x
_atom_site_fract_y
_atom_site_fract_z
Na1 0.0000 0.0000 0.0000
Na2 0.0012 0.9679 0.3339
Na3 0.0052 0.6611 0.6677
Na4 0.0137 0.3392 0.3376
Na5 0.1487 0.1384 0.5038
Na6 0.1944 0.1535 0.8354
Na7 0.3007 0.6582 0.0846
Na8 0.3156 0.6490 0.5842
Na9 0.3172 0.3287 0.2540
Na10 0.3203 0.3327 0.7548
Na11 0.3305 0.9757 0.9146
Na12 0.3434 0.9822 0.4260
Na13 0.4473 0.1571 0.3390
Na14 0.4883 0.8065 0.6677
Na15 0.4965 0.1366 0.9988
Na16 0.5056 0.1622 0.6677
Na17 0.5129 0.8354 0.3376
Na18 0.5182 0.5035 0.0007
Na19 0.6291 0.3390 0.8359
Na20 0.6359 0.6671 0.1650
Na21 0.6480 0.6368 0.5042
Na22 0.6509 0.3066 0.1657
Na23 0.8146 0.1499 0.5842
Na24 0.8256 0.4927 0.9203
Na25 0.8257 0.8231 0.2489
Na26 0.8279 0.8270 0.7566
Na27 0.8318 0.4810 0.4235
Na28 0.8327 0.1565 0.0845
Na29 0.9463 0.6558 0.3372
Na30 0.9883 0.3077 0.6673
Y1 0.3178 0.3196 0.8965
Y2 0.3246 0.3242 0.3961
Y3 0.3289 0.9835 0.5690
Y4 0.8172 0.8183 0.3982
Y5 0.8236 0.4894 0.0676
Y6 0.8301 0.4829 0.5693
Nb1 0.3146 0.6589 0.4369
Nb2 0.3162 0.6529 0.2297
Nb3 0.3182 0.3133 0.6065
Nb4 0.3209 0.3112 0.1080
Nb5 0.3210 0.6529 0.7349
Nb6 0.3209 0.9806 0.0643
Nb7 0.3214 0.9818 0.7719
Nb8 0.3218 0.9868 0.2698
Nb9 0.3263 0.6617 0.9354
Nb10 0.8127 0.1606 0.4372
Nb11 0.8168 0.8121 0.6061
Nb12 0.8183 0.4873 0.2702
Nb13 0.8192 0.1550 0.9387
Nb14 0.8191 0.8194 0.8964
Nb15 0.8224 0.4894 0.7728
Nb16 0.8229 0.1483 0.7335
Nb17 0.8233 0.8195 0.1053
Nb18 0.8282 0.1494 0.2276
Si1 0.0237 0.3181 0.4980
Si2 0.0322 0.6532 0.8361
Si3 0.0320 0.9839 0.1671
Si4 0.1073 0.1492 0.3350
Si5 0.1067 0.8161 0.0009
Si6 0.1193 0.4866 0.6705
Si7 0.1699 0.1302 0.6678
Si8 0.1698 0.8382 0.6696
Si9 0.1714 0.1710 0.0010
Si10 0.1731 0.5119 0.3327
Si11 0.1830 0.8013 0.3325
Si12 0.4683 0.8408 0.1683
Si13 0.4689 0.1277 0.1664
Si14 0.4697 0.8012 0.8328
Si15 0.4710 0.1724 0.4983
Si16 0.4713 0.5116 0.8360
Si17 0.5200 0.8174 0.4986
Si18 0.5228 0.4861 0.1666
Si19 0.5313 0.1475 0.8340
Si20 0.6054 0.6481 0.3331
Si21 0.6168 0.3191 0.0002
Si22 0.6185 0.9854 0.6694
Si23 0.6661 0.6303 0.6666
Si24 0.6717 0.3383 0.6716
Si25 0.6736 0.0129 0.3326
Si26 0.6740 0.6771 0.0000
Si27 0.6744 0.9618 0.0007
Si28 0.6821 0.2993 0.3289
Si29 0.9587 0.2999 0.8333
Si30 0.9676 0.0066 0.8371
Si31 0.9683 0.6362 0.1690
Si32 0.9702 0.3405 0.1693
Si33 0.9738 0.6708 0.4990
S1 0.1826 0.4683 0.0031
S2 0.4613 0.4690 0.5036
S3 0.9608 0.9690 0.5017
O1 0.0004 0.8053 0.0587
O2 0.0022 0.4681 0.7250
O3 0.0038 0.1345 0.3936
O4 0.0090 0.8138 0.3336
O5 0.0248 0.4811 0.0069
O6 0.0271 0.5178 0.6152
O7 0.1155 0.3250 0.4387
O8 0.1200 0.9823 0.5060
O9 0.1335 0.3012 0.8339
O10 0.1349 0.6666 0.7780
O11 0.1390 0.9736 0.2258
O12 0.1392 0.9954 0.1103
O13 0.1423 0.3076 0.5561
O14 0.1428 0.6532 0.1798
O15 0.1454 0.6409 0.8918
O16 0.1468 0.0042 0.8285
O17 0.1490 0.3317 0.1594
O18 0.1549 0.6649 0.4965
O19 0.1843 0.0830 0.6067
O20 0.2067 0.9019 0.7262
O21 0.2082 0.9025 0.0094
O22 0.2086 0.0628 0.3278
O23 0.2098 0.2315 0.3331
O24 0.2105 0.4206 0.9490
O25 0.2120 0.3983 0.6601
O26 0.2119 0.5727 0.3907
O27 0.2117 0.7331 0.9934
O28 0.2139 0.2356 0.0565
O29 0.2260 0.7406 0.2785
O30 0.2274 0.5673 0.6835
O31 0.2323 0.7419 0.6804
O32 0.2349 0.4175 0.3319
O33 0.2387 0.5642 0.2772
O34 0.2432 0.0766 0.0132
O35 0.2447 0.4226 0.0547
O36 0.2488 0.2024 0.9421
O37 0.2528 0.2261 0.6617
O38 0.2539 0.0845 0.7236
O39 0.2543 0.7539 0.3919
O40 0.2623 0.5515 0.0010
O41 0.2627 0.8706 0.6155
O42 0.2663 0.8933 0.3290
O43 0.3879 0.5535 0.5011
O44 0.3884 0.8932 0.8286
O45 0.3885 0.0832 0.5034
O46 0.3938 0.2233 0.1600
O47 0.3937 0.8908 0.1125
O48 0.3952 0.7519 0.8900
O49 0.3958 0.0838 0.2251
O50 0.4021 0.4232 0.5552
O51 0.4019 0.5665 0.7818
O52 0.4015 0.7457 0.1732
O53 0.4065 0.4173 0.8337
O54 0.4095 0.8945 0.5036
O55 0.4123 0.2151 0.4394
O56 0.4201 0.5685 0.1799
O57 0.4239 0.0648 0.8285
O58 0.4286 0.2344 0.5574
O59 0.4300 0.3970 0.1608
O60 0.4305 0.0705 0.1090
O61 0.4312 0.7456 0.7751
O62 0.4321 0.5674 0.8956
O63 0.4317 0.9007 0.2265
O64 0.4327 0.2321 0.8331
O65 0.4348 0.4222 0.4492
O66 0.4365 0.7233 0.4977
O67 0.4919 0.6685 0.9939
O68 0.4926 0.3282 0.6607
O69 0.4935 0.0059 0.3282
O70 0.4947 0.6550 0.6782
O71 0.4963 0.9767 0.0080
O72 0.5000 0.3066 0.0577
O73 0.5000 0.6620 0.2763
O74 0.5012 0.9681 0.7243
O75 0.5026 0.6398 0.3929
O76 0.5078 0.3032 0.3312
O77 0.5218 0.3296 0.9416
O78 0.5259 0.0167 0.6144
O79 0.6088 0.5115 0.1083
O80 0.6095 0.8270 0.4386
O81 0.6204 0.4826 0.5077
O82 0.6364 0.1389 0.8936
O83 0.6413 0.1561 0.7782
O84 0.6420 0.8080 0.5557
O85 0.6444 0.1459 0.1716
O86 0.6444 0.4698 0.2209
O87 0.6453 0.8318 0.1611
O88 0.6459 0.8100 0.8403
O89 0.6505 0.5049 0.8278
O90 0.6532 0.1659 0.4957
O91 0.6825 0.5838 0.6053
O92 0.7050 0.3998 0.7291
O93 0.7083 0.2274 0.9975
O94 0.7090 0.0733 0.3904
O95 0.7104 0.5636 0.3269
O96 0.7104 0.7331 0.0601
O97 0.7115 0.7307 0.3332
O98 0.7109 0.8972 0.6599
O99 0.7106 0.9056 0.9429
O100 0.7170 0.4015 0.0047
O101 0.7234 0.2390 0.2734
O102 0.7282 0.0653 0.6811
O103 0.7315 0.2401 0.6811
O104 0.7384 0.5829 0.9985
O105 0.7400 0.0615 0.2756
O106 0.7419 0.7314 0.9449
O107 0.7484 0.9210 0.3335
O108 0.7505 0.0562 0.9946
O109 0.7518 0.7258 0.6616
O110 0.7531 0.9157 0.0572
O111 0.7546 0.5819 0.7203
O112 0.7566 0.2514 0.3888
O113 0.7653 0.3703 0.6172
O114 0.7685 0.3898 0.3273
O115 0.8757 0.3914 0.8301
O116 0.8772 0.3740 0.1153
O117 0.8790 0.7271 0.1648
O118 0.8872 0.0534 0.5007
O119 0.8872 0.2481 0.8912
O120 0.8886 0.5826 0.5039
O121 0.8892 0.5862 0.2257
O122 0.8936 0.9140 0.8419
O123 0.9009 0.0578 0.7807
O124 0.9023 0.2446 0.1797
O125 0.9017 0.9210 0.5522
O126 0.9113 0.3944 0.5031
O127 0.9151 0.2411 0.7771
O128 0.9159 0.7138 0.4398
O129 0.9279 0.7364 0.8445
O130 0.9286 0.7339 0.5576
O131 0.9290 0.9005 0.1606
O132 0.9301 0.0685 0.1735
O133 0.9317 0.5679 0.8263
O134 0.9347 0.9245 0.4458
O135 0.9360 0.0675 0.8949
O136 0.9363 0.2239 0.4965
O137 0.9388 0.4014 0.2276
O138 0.9547 0.5818 0.1113
O139 0.9909 0.8289 0.6607
O140 0.9922 0.5086 0.3286
O141 0.9926 0.1595 0.9975
O142 0.9946 0.1554 0.2791
O143 0.9978 0.1542 0.6792
O144 0.9995 0.8366 0.9455
# * M_tot: 0.00 Bohr magnetons per cell
# * energy relative to the elements: -2965 meV per atom